Record 1
# PBE Nb2P3O12, relaxed
# Energy of formation (eV per atom): -2.8478
# Distance to the lowest polymorph of the same formula (meV per atom): 1
# Corrected total energy (MP2020 scheme) (eV/atom): -8.484
data_Nb2P3O12
_chemical_formula_sum 'Nb4 P6 O24'
_symmetry_space_group_name_H-M 'P -1'
_symmetry_Int_Tables_number 2
_symmetry_space_group_name_Hall '-P 1'
_cell_length_a 8.811
_cell_length_b 8.814
_cell_length_c 9.114
_cell_angle_alpha 90.19
_cell_angle_beta 118.67
_cell_angle_gamma 119.97
loop_
_atom_site_label
_atom_site_type_symbol
_atom_site_fract_x
_atom_site_fract_y
_atom_site_fract_z
Nb1 Nb 0.213 0.358 0.071
Nb2 Nb 0.215 0.859 0.574
P1 P 0.003 0.034 0.253
P2 P 0.281 0.532 0.751
P3 P 0.282 0.752 0.247
O1 O 0.089 0.362 0.587
O2 O 0.095 0.734 0.082
O3 O 0.138 0.926 0.725
O4 O 0.141 0.011 0.423
O5 O 0.142 0.144 0.904
O6 O 0.149 0.197 0.218
O7 O 0.266 0.511 0.912
O8 O 0.274 0.574 0.222
O9 O 0.279 0.784 0.411
O10 O 0.291 0.707 0.717
O11 O 0.482 0.554 0.788
O12 O 0.487 0.917 0.274

***

Record 2
# PBE NbP2O7, relaxed
# Energy of formation (eV per atom): -2.7350
# Corrected total energy (MP2020 scheme) (eV/atom): -8.291
# M_tot (μB per cell): 3.83
data_NbP2O7
_chemical_formula_sum 'Nb4 P8 O28'
_symmetry_space_group_name_H-M 'P a -3'
_symmetry_Int_Tables_number 205
_symmetry_space_group_name_Hall '-P 2ac 2ab 3'
_cell_length_a 8.458
_cell_length_b 8.458
_cell_length_c 8.458
_cell_angle_alpha 90.00
_cell_angle_beta 90.00
_cell_angle_gamma 90.00
loop_
_atom_site_label
_atom_site_type_symbol
_atom_site_fract_x
_atom_site_fract_y
_atom_site_fract_z
Nb1 Nb 0.000 0.000 0.000
P1 P 0.108 0.608 0.892
O1 O 0.000 0.000 0.500
O2 O 0.059 0.722 0.423

***

Record 3
# PBE Nb18P3O50, relaxed
# Energy of formation (eV per atom): -2.9321
# Corrected total energy (MP2020 scheme) (eV/atom): -9.206
# M_tot (μB per cell): 1.00
data_Nb18P3O50
_chemical_formula_sum 'Nb18 P3 O50'
_symmetry_space_group_name_H-M 'P 1'
_symmetry_Int_Tables_number 1
_symmetry_space_group_name_Hall 'P 1'
_cell_length_a 7.727
_cell_length_b 11.660
_cell_length_c 11.664
_cell_angle_alpha 88.00
_cell_angle_beta 79.42
_cell_angle_gamma 78.96
loop_
_atom_site_label
_atom_site_type_symbol
_atom_site_fract_x
_atom_site_fract_y
_atom_site_fract_z
Nb1 Nb 0.000 0.000 0.000
Nb2 Nb 0.013 0.435 0.518
Nb3 Nb 0.062 0.555 0.201
Nb4 Nb 0.111 0.684 0.881
Nb5 Nb 0.299 0.068 0.756
Nb6 Nb 0.342 0.196 0.439
Nb7 Nb 0.392 0.311 0.125
Nb8 Nb 0.408 0.754 0.638
Nb9 Nb 0.454 0.877 0.319
Nb10 Nb 0.505 0.990 0.998
Nb11 Nb 0.518 0.437 0.506
Nb12 Nb 0.563 0.558 0.194
Nb13 Nb 0.615 0.674 0.876
Nb14 Nb 0.793 0.075 0.758
Nb15 Nb 0.843 0.195 0.437
Nb16 Nb 0.895 0.317 0.120
Nb17 Nb 0.907 0.756 0.638
Nb18 Nb 0.955 0.875 0.318
P1 P 0.089 0.338 0.823
P2 P 0.329 0.412 0.776
P3 P 0.567 0.384 0.855
O1 O 0.012 0.709 0.252
O2 O 0.017 0.490 0.360
O3 O 0.021 0.356 0.707
O4 O 0.027 0.061 0.804
O5 O 0.052 0.841 0.930
O6 O 0.076 0.239 0.461
O7 O 0.091 0.613 0.025
O8 O 0.135 0.365 0.129
O9 O 0.150 0.742 0.680
O10 O 0.195 0.216 0.847
O11 O 0.204 0.874 0.318
O12 O 0.242 0.541 0.779
O13 O 0.260 0.007 0.956
O14 O 0.271 0.390 0.487
O15 O 0.319 0.137 0.610
O16 O 0.325 0.514 0.186
O17 O 0.349 0.910 0.705
O18 O 0.375 0.262 0.283
O19 O 0.378 0.704 0.835
O20 O 0.391 0.043 0.383
O21 O 0.423 0.357 0.656
O22 O 0.430 0.810 0.486
O23 O 0.442 0.167 0.055
O24 O 0.449 0.402 0.978
O25 O 0.469 0.583 0.577
O26 O 0.480 0.941 0.152
O27 O 0.516 0.709 0.253
O28 O 0.529 0.066 0.809
O29 O 0.544 0.485 0.349
O30 O 0.577 0.834 0.932
O31 O 0.579 0.239 0.455
O32 O 0.586 0.613 0.027
O33 O 0.639 0.364 0.132
O34 O 0.649 0.493 0.819
O35 O 0.653 0.730 0.683
O36 O 0.687 0.265 0.832
O37 O 0.703 0.876 0.319
O38 O 0.756 0.021 0.954
O39 O 0.772 0.385 0.518
O40 O 0.813 0.141 0.611
O41 O 0.831 0.511 0.172
O42 O 0.841 0.916 0.706
O43 O 0.875 0.263 0.279
O44 O 0.880 0.676 0.828
O45 O 0.896 0.042 0.385
O46 O 0.928 0.808 0.485
O47 O 0.944 0.168 0.056
O48 O 0.961 0.383 0.935
O49 O 0.969 0.582 0.585
O50 O 0.977 0.942 0.151

***

Record 4
# PBE Nb2P4O15, relaxed
# Energy of formation (eV per atom): -2.7667
# Corrected total energy (MP2020 scheme) (eV/atom): -8.294
# M_tot (μB per cell): 0.00
data_Nb2P4O15
_chemical_formula_sum 'Nb4 P8 O30'
_symmetry_space_group_name_H-M 'P -1'
_symmetry_Int_Tables_number 2
_symmetry_space_group_name_Hall '-P 1'
_cell_length_a 6.807
_cell_length_b 8.536
_cell_length_c 11.223
_cell_angle_alpha 74.30
_cell_angle_beta 89.70
_cell_angle_gamma 89.89
loop_
_atom_site_label
_atom_site_type_symbol
_atom_site_fract_x
_atom_site_fract_y
_atom_site_fract_z
Nb1 Nb 0.234 0.294 0.148
Nb2 Nb 0.262 0.296 0.645
P1 P 0.062 0.685 0.599
P2 P 0.113 0.913 0.123
P3 P 0.386 0.915 0.624
P4 P 0.439 0.683 0.102
O1 O 0.000 0.000 0.000
O2 O 0.012 0.209 0.791
O3 O 0.033 0.301 0.526
O4 O 0.035 0.335 0.049
O5 O 0.083 0.285 0.306
O6 O 0.177 0.528 0.646
O7 O 0.205 0.044 0.174
O8 O 0.211 0.835 0.568
O9 O 0.289 0.834 0.065
O10 O 0.292 0.048 0.674
O11 O 0.322 0.526 0.142
O12 O 0.435 0.290 0.793
O13 O 0.443 0.338 0.532
O14 O 0.446 0.300 0.017
O15 O 0.491 0.205 0.287
O16 O 0.500 0.000 0.500

***

Record 5
# PBE Nb9P2O25, relaxed
# Energy of formation (eV per atom): -2.6762
# Corrected total energy (MP2020 scheme) (eV/atom): -8.938
# M_tot (μB per cell): 1.90
data_Nb9P2O25
_chemical_formula_sum 'Nb18 P4 O50'
_symmetry_space_group_name_H-M 'I 4/m'
_symmetry_Int_Tables_number 87
_symmetry_space_group_name_Hall '-I 4'
_cell_length_a 16.219
_cell_length_b 16.219
_cell_length_c 3.890
_cell_angle_alpha 90.00
_cell_angle_beta 90.00
_cell_angle_gamma 90.00
loop_
_atom_site_label
_atom_site_type_symbol
_atom_site_fract_x
_atom_site_fract_y
_atom_site_fract_z
Nb1 Nb 0.000 0.000 0.000
Nb2 Nb 0.099 0.220 0.000
Nb3 Nb 0.123 0.684 0.000
P1 P 0.000 0.500 0.250
O1 O 0.000 0.000 0.500
O2 O 0.014 0.721 0.000
O3 O 0.052 0.116 0.000
O4 O 0.057 0.417 0.500
O5 O 0.113 0.250 0.500
O6 O 0.146 0.659 0.500
O7 O 0.178 0.787 0.000

***

Record 6
# PBE Nb2P3O12, relaxed
# Energy of formation (eV per atom): -2.8451
# Distance to the lowest polymorph of the same formula (meV per atom): 3
# Corrected total energy (MP2020 scheme) (eV/atom): -8.481
# M_tot (μB per cell): 3.67
data_Nb2P3O12
_chemical_formula_sum 'Nb8 P12 O48'
_symmetry_space_group_name_H-M 'P 1 21/c 1'
_symmetry_Int_Tables_number 14
_symmetry_space_group_name_Hall '-P 2ybc'
_cell_length_a 8.886
_cell_length_b 8.916
_cell_length_c 15.247
_cell_angle_alpha 90.00
_cell_angle_beta 125.48
_cell_angle_gamma 90.00
loop_
_atom_site_label
_atom_site_type_symbol
_atom_site_fract_x
_atom_site_fract_y
_atom_site_fract_z
Nb1 Nb 0.132 0.032 0.383
Nb2 Nb 0.367 0.033 0.117
P1 P 0.033 0.749 0.502
P2 P 0.248 0.112 0.856
P3 P 0.466 0.609 0.856
O1 O 0.013 0.664 0.083
O2 O 0.059 0.643 0.933
O3 O 0.084 0.015 0.769
O4 O 0.140 0.154 0.074
O5 O 0.197 0.220 0.337
O6 O 0.207 0.650 0.567
O7 O 0.295 0.593 0.858
O8 O 0.298 0.064 0.967
O9 O 0.358 0.060 0.536
O10 O 0.413 0.086 0.850
O11 O 0.441 0.507 0.767
O12 O 0.484 0.725 0.334

***

Record 7
# PBE Nb2P2O9, relaxed
# Energy of formation (eV per atom): -2.7788
# Corrected total energy (MP2020 scheme) (eV/atom): -8.591
# M_tot (μB per cell): 8.00
data_Nb2P2O9
_chemical_formula_sum 'Nb8 P8 O36'
_symmetry_space_group_name_H-M 'C m c e'
_symmetry_Int_Tables_number 64
_symmetry_space_group_name_Hall '-C 2ac 2'
_cell_length_a 6.661
_cell_length_b 8.694
_cell_length_c 11.833
_cell_angle_alpha 90.00
_cell_angle_beta 90.00
_cell_angle_gamma 90.00
loop_
_atom_site_label
_atom_site_type_symbol
_atom_site_fract_x
_atom_site_fract_y
_atom_site_fract_z
Nb1 Nb 0.000 0.204 0.060
P1 P 0.000 0.105 0.353
O1 O 0.000 0.000 0.000
O2 O 0.000 0.065 0.625
O3 O 0.000 0.142 0.227
O4 O 0.175 0.193 0.416

***

Record 8
# PBE Nb5P7O30, relaxed
# Energy of formation (eV per atom): -2.8342
# Distance to the lowest polymorph of the same formula (meV per atom): 26
# Corrected total energy (MP2020 scheme) (eV/atom): -8.473
# M_tot (μB per cell): 0.00
data_Nb5P7O30
_chemical_formula_sum 'Nb10 P14 O60'
_symmetry_space_group_name_H-M 'P 1'
_symmetry_Int_Tables_number 1
_symmetry_space_group_name_Hall 'P 1'
_cell_length_a 8.875
_cell_length_b 8.934
_cell_length_c 15.899
_cell_angle_alpha 91.60
_cell_angle_beta 106.21
_cell_angle_gamma 90.00
loop_
_atom_site_label
_atom_site_type_symbol
_atom_site_fract_x
_atom_site_fract_y
_atom_site_fract_z
Nb1 Nb 0.000 0.000 0.000
Nb2 Nb 0.081 0.446 0.176
Nb3 Nb 0.163 0.893 0.351
Nb4 Nb 0.288 0.408 0.578
Nb5 Nb 0.385 0.984 0.773
Nb6 Nb 0.487 0.500 0.000
Nb7 Nb 0.581 0.946 0.176
Nb8 Nb 0.676 0.393 0.351
Nb9 Nb 0.777 0.908 0.578
Nb10 Nb 0.875 0.484 0.773
P1 P 0.046 0.538 0.389
P2 P 0.052 0.196 0.676
P3 P 0.111 0.696 0.676
P4 P 0.116 0.355 0.963
P5 P 0.333 0.855 0.963
P6 P 0.354 0.177 0.269
P7 P 0.402 0.677 0.269
P8 P 0.409 0.050 0.555
P9 P 0.529 0.343 0.796
P10 P 0.634 0.550 0.555
P11 P 0.754 0.843 0.796
P12 P 0.761 0.216 0.083
P13 P 0.809 0.716 0.083
P14 P 0.829 0.038 0.389
O1 O 0.004 0.020 0.394
O2 O 0.009 0.451 0.893
O3 O 0.037 0.861 0.241
O4 O 0.046 0.613 0.744
O5 O 0.060 0.471 0.296
O6 O 0.068 0.192 0.952
O7 O 0.095 0.700 0.399
O8 O 0.103 0.422 0.055
O9 O 0.117 0.280 0.608
O10 O 0.125 0.032 0.111
O11 O 0.153 0.442 0.458
O12 O 0.159 0.873 0.957
O13 O 0.185 0.113 0.744
O14 O 0.185 0.584 0.626
O15 O 0.234 0.809 0.725
O16 O 0.237 0.287 0.217
O17 O 0.258 0.595 0.207
O18 O 0.275 0.073 0.321
O19 O 0.285 0.373 0.957
O20 O 0.311 0.951 0.490
O21 O 0.352 0.768 0.344
O22 O 0.371 0.692 0.952
O23 O 0.371 0.951 0.893
O24 O 0.375 0.221 0.546
O25 O 0.397 0.015 0.652
O26 O 0.420 0.378 0.700
O27 O 0.437 0.095 0.207
O28 O 0.440 0.922 0.055
O29 O 0.460 0.534 0.560
O30 O 0.467 0.787 0.217
O31 O 0.472 0.532 0.111
O32 O 0.479 0.268 0.344
O33 O 0.496 0.442 0.861
O34 O 0.505 0.171 0.805
O35 O 0.530 0.570 0.314
O36 O 0.576 0.859 0.791
O37 O 0.587 0.034 0.560
O38 O 0.633 0.322 0.037
O39 O 0.658 0.721 0.546
O40 O 0.666 0.451 0.490
O41 O 0.684 0.625 0.008
O42 O 0.691 0.361 0.241
O43 O 0.696 0.106 0.135
O44 O 0.702 0.359 0.791
O45 O 0.723 0.971 0.296
O46 O 0.726 0.798 0.144
O47 O 0.742 0.515 0.652
O48 O 0.766 0.878 0.700
O49 O 0.790 0.672 0.812
O50 O 0.792 0.200 0.399
O51 O 0.792 0.942 0.458
O52 O 0.811 0.125 0.008
O53 O 0.852 0.942 0.861
O54 O 0.878 0.520 0.394
O55 O 0.891 0.822 0.037
O56 O 0.905 0.298 0.144
O57 O 0.926 0.606 0.135
O58 O 0.929 0.084 0.626
O59 O 0.978 0.309 0.725
O60 O 0.978 0.780 0.608